Entry 1:
Entry from Materials Project: an optimized crystal structure of CaCo3O7 (GGA+U).

a = 6.739 Å, b = 14.258 Å, c = 10.999 Å
α = 90.00°, β = 102.56°, γ = 90.00°
Space group P2_1/c (No. 14)
Asymmetric unit:
Ca: 0.086 0.007 0.236
Ca: 0.338 0.126 0.977
Co: 0.011 0.748 0.252
Co: 0.127 0.145 0.520
Co: 0.160 0.638 0.521
Co: 0.369 0.676 0.917
Co: 0.398 0.514 0.182
Co: 0.497 0.203 0.308
O: 0.003 0.654 0.635
O: 0.006 0.148 0.359
O: 0.006 0.153 0.128
O: 0.071 0.663 0.882
O: 0.204 0.029 0.551
O: 0.235 0.521 0.541
O: 0.272 0.233 0.785
O: 0.278 0.021 0.794
O: 0.304 0.744 0.287
O: 0.352 0.213 0.556
O: 0.373 0.716 0.544
O: 0.383 0.569 0.834
O: 0.418 0.099 0.212
O: 0.418 0.615 0.074

Computed properties:
Spin magnetization in μB/atom: 0.55
Total energy after the MP2020 corrections in eV/cell: -586.37
Final energy in eV/cell: -508.6

---

Entry 2:
Entry from Materials Project: an optimized crystal structure of Ca2Co9O13 (GGA+U).

a = 10.016 Å, b = 3.051 Å, c = 16.613 Å
α = 90.00°, β = 99.08°, γ = 90.00°
Space group C2/m (No. 12)
Asymmetric unit:
Ca: 0.217 0.000 0.228
Co: 0.000 0.500 0.500
Co: 0.001 0.000 0.339
Co: 0.062 0.000 0.876
Co: 0.145 0.500 0.038
Co: 0.246 0.000 0.579
O: 0.000 0.000 0.000
O: 0.075 0.500 0.142
O: 0.108 0.000 0.775
O: 0.116 0.500 0.613
O: 0.131 0.000 0.466
O: 0.134 0.500 0.319
O: 0.202 0.500 0.925

Computed properties:
Spin magnetization in μB/atom: 1.24
Total energy after the MP2020 corrections in eV/cell: -338.16
Final energy in eV/cell: -290.8

---

Number 1: E_form -1479 kJ/mol of formula units. Number 2: E_form -3548 kJ/mol of formula units.